Computed, not measured: a relaxed Fe4H14O13 crystal at the PBE+U level of DFT.

extended XYZ file:
```
31
Lattice="6.695 0.000 0.000 -2.211 6.351 0.000 -2.256 -3.136 5.514" Properties=species:S:1:pos:R:3 pbc="T T T"
Fe 0.000 0.000 0.000
Fe -2.210 1.616 2.732
Fe 0.057 4.766 2.721
Fe 2.269 3.227 0.010
H -2.270 4.496 1.751
H -0.527 2.273 0.969
H -0.451 -0.228 3.046
H 0.036 4.268 0.232
H 0.095 -2.364 5.034
H 0.000 2.427 2.999
H 1.574 1.327 1.809
H 1.376 0.874 3.301
H -0.018 2.472 4.728
H 3.716 -0.213 1.234
H 2.283 -0.973 5.196
H 2.721 3.418 2.465
H 2.866 1.005 4.524
H 4.544 -1.305 3.785
O -3.242 1.809 4.522
O -1.714 5.330 1.773
O -1.021 0.206 3.746
O 1.664 1.220 0.069
O -0.800 3.012 3.312
O 0.563 3.801 0.950
O 1.226 1.623 2.687
O 1.697 -0.573 4.482
O 0.572 2.068 5.429
O 3.358 0.035 2.120
O 3.366 3.088 1.765
O 1.787 4.212 3.740
O 5.572 1.475 0.946
```

Results
final energy = -169.1 eV per cell
polymorph energy (0 for the lowest one) = 0.0 kJ/mol of atoms
ΔE_f = -1.33 eV/atom